1.
Material: BaAsPd
Method: DFT, PBE
State: optimized geometry

Results
* SG: P-6m2, No. 187
* formation energy: -269 kJ/mol of formula units

abc: 4.394 4.394 4.830
angles: 90.00 90.00 120.00
Atoms (fractional coordinates):
Ba (0.000, 0.000, 0.000)
Pd (0.333, 0.667, 0.500)
As (0.667, 0.333, 0.500)

2.
Material: BaAs2Pd
Method: DFT, PBE
State: optimized geometry

Results
* SG: Cmcm, No. 63
* formation energy: -318 kJ/mol of formula units

abc: 4.643 4.757 9.075
angles: 74.80 90.00 90.00
Atoms (fractional coordinates):
Ba (0.250, 0.394, 0.211)
Ba (0.750, 0.606, 0.789)
As (0.250, 0.038, 0.925)
As (0.250, 0.750, 0.501)
As (0.750, 0.962, 0.075)
As (0.750, 0.250, 0.499)
Pd (0.750, 0.814, 0.372)
Pd (0.250, 0.186, 0.628)

3.
Material: BaAsPt
Method: DFT, PBE
State: optimized geometry

Results
* SG: P2_13, No. 198
* formation energy: -288 kJ/mol of formula units

abc: 6.829 6.829 6.829
angles: 90.00 90.00 90.00
Atoms (fractional coordinates):
Ba (0.610, 0.390, 0.890)
Ba (0.390, 0.890, 0.610)
Ba (0.110, 0.110, 0.110)
Ba (0.890, 0.610, 0.390)
Pt (0.904, 0.096, 0.596)
Pt (0.096, 0.596, 0.904)
Pt (0.404, 0.404, 0.404)
Pt (0.596, 0.904, 0.096)
As (0.829, 0.829, 0.829)
As (0.171, 0.329, 0.671)
As (0.329, 0.671, 0.171)
As (0.671, 0.171, 0.329)

4.
Material: BaAs2Pt
Method: DFT, PBE
State: optimized geometry

Results
* SG: Cmcm, No. 63
* formation energy: -328 kJ/mol of formula units

abc: 4.664 4.745 9.023
angles: 74.75 90.00 90.00
Atoms (fractional coordinates):
As (0.750, 0.250, 0.499)
As (0.750, 0.961, 0.078)
As (0.250, 0.750, 0.501)
As (0.250, 0.039, 0.922)
Ba (0.750, 0.605, 0.791)
Ba (0.250, 0.395, 0.209)
Pt (0.750, 0.813, 0.375)
Pt (0.250, 0.187, 0.625)

5.
Material: BaAs2Ru2
Method: DFT, PBE
State: optimized geometry

Results
* SG: I4/mmm, No. 139
* formation energy: -336 kJ/mol of formula units

abc: 6.889 6.889 6.889
angles: 144.46 144.46 51.15
Atoms (fractional coordinates):
Ba (0.000, 0.000, 0.000)
As (0.350, 0.350, 0.000)
As (0.650, 0.650, 0.000)
Ru (0.750, 0.250, 0.500)
Ru (0.250, 0.750, 0.500)

6.
Material: BaAs12Ru4
Method: DFT, PBE
State: optimized geometry

Results
* SG: Im-3, No. 204
* formation energy: -694 kJ/mol of formula units

abc: 7.489 7.489 7.489
angles: 109.47 109.47 109.47
Atoms (fractional coordinates):
As (0.353, 0.201, 0.848)
As (0.201, 0.848, 0.353)
As (0.506, 0.152, 0.353)
As (0.799, 0.152, 0.647)
As (0.848, 0.353, 0.201)
As (0.152, 0.353, 0.506)
As (0.152, 0.647, 0.799)
As (0.353, 0.506, 0.152)
As (0.494, 0.848, 0.647)
As (0.848, 0.647, 0.494)
As (0.647, 0.494, 0.848)
As (0.647, 0.799, 0.152)
Ru (0.000, 0.500, 0.000)
Ru (0.500, 0.000, 0.000)
Ru (0.500, 0.500, 0.500)
Ru (0.000, 0.000, 0.500)
Ba (0.000, 0.000, 0.000)

7.
Material: Ba4SiAs4
Method: DFT, PBE
State: optimized geometry

Results
* SG: P-43n, No. 218
* piezoelectric modulus e_max: 0.09 C/m²
* formation energy: -868 kJ/mol of formula units

abc: 13.489 13.489 13.489
angles: 90.00 90.00 90.00
Atoms (fractional coordinates):
As (0.103, 0.388, 0.652)
As (0.612, 0.348, 0.103)
As (0.896, 0.104, 0.104)
As (0.348, 0.103, 0.612)
As (0.112, 0.603, 0.848)
As (0.603, 0.848, 0.112)
As (0.388, 0.348, 0.897)
As (0.604, 0.604, 0.396)
As (0.397, 0.848, 0.888)
As (0.152, 0.112, 0.397)
As (0.397, 0.152, 0.112)
As (0.612, 0.652, 0.897)
As (0.604, 0.396, 0.604)
As (0.348, 0.897, 0.388)
As (0.152, 0.888, 0.603)
As (0.896, 0.896, 0.896)
As (0.888, 0.397, 0.848)
As (0.388, 0.652, 0.103)
As (0.652, 0.897, 0.612)
As (0.897, 0.388, 0.348)
As (0.603, 0.152, 0.888)
As (0.104, 0.896, 0.104)
As (0.897, 0.612, 0.652)
As (0.103, 0.612, 0.348)
As (0.888, 0.603, 0.152)
As (0.104, 0.104, 0.896)
As (0.396, 0.604, 0.604)
As (0.652, 0.103, 0.388)
As (0.396, 0.396, 0.396)
As (0.112, 0.397, 0.152)
As (0.848, 0.112, 0.603)
As (0.848, 0.888, 0.397)
Ba (0.856, 0.856, 0.144)
Ba (0.595, 0.856, 0.368)
Ba (0.144, 0.368, 0.405)
Ba (0.095, 0.132, 0.644)
Ba (0.856, 0.368, 0.595)
Ba (0.644, 0.095, 0.132)
Ba (0.644, 0.356, 0.356)
Ba (0.356, 0.095, 0.868)
Ba (0.856, 0.144, 0.856)
Ba (0.905, 0.868, 0.644)
Ba (0.368, 0.595, 0.856)
Ba (0.868, 0.356, 0.095)
Ba (0.632, 0.405, 0.856)
Ba (0.144, 0.144, 0.144)
Ba (0.356, 0.644, 0.356)
Ba (0.368, 0.405, 0.144)
Ba (0.144, 0.632, 0.595)
Ba (0.644, 0.905, 0.868)
Ba (0.132, 0.644, 0.095)
Ba (0.132, 0.356, 0.905)
Ba (0.868, 0.644, 0.905)
Ba (0.856, 0.632, 0.405)
Ba (0.595, 0.144, 0.632)
Ba (0.405, 0.856, 0.632)
Ba (0.144, 0.856, 0.856)
Ba (0.644, 0.644, 0.644)
Ba (0.632, 0.595, 0.144)
Ba (0.405, 0.144, 0.368)
Ba (0.356, 0.905, 0.132)
Ba (0.905, 0.132, 0.356)
Ba (0.095, 0.868, 0.356)
Ba (0.356, 0.356, 0.644)
Si (0.500, 0.750, 0.000)
Si (0.000, 0.500, 0.250)
Si (0.750, 0.000, 0.500)
Si (0.500, 0.250, 0.000)
Si (0.250, 0.000, 0.500)
Si (0.000, 0.000, 0.000)
Si (0.000, 0.500, 0.750)
Si (0.500, 0.500, 0.500)

8.
Material: Ba13Si6Sn8As22
Method: DFT, PBE
State: optimized geometry

Results
* SG: I-42m, No. 121
* formation energy: -3225 kJ/mol of formula units

abc: 12.458 12.458 12.458
angles: 107.77 107.77 112.94
Atoms (fractional coordinates):
As (0.855, 0.855, 0.662)
As (0.686, 0.500, 0.186)
As (0.123, 0.123, 0.642)
As (0.564, 0.258, 0.510)
As (0.520, 0.877, 0.000)
As (0.717, 0.717, 0.000)
As (0.258, 0.564, 0.510)
As (0.436, 0.946, 0.694)
As (0.877, 0.520, 0.000)
As (0.193, 0.193, 0.338)
As (0.500, 0.314, 0.814)
As (0.500, 0.686, 0.186)
As (0.742, 0.252, 0.306)
As (0.283, 0.283, 0.000)
As (0.054, 0.748, 0.490)
As (0.807, 0.145, 0.000)
As (0.946, 0.436, 0.694)
As (0.252, 0.742, 0.306)
As (0.145, 0.807, 0.000)
As (0.748, 0.054, 0.490)
As (0.480, 0.480, 0.358)
As (0.314, 0.500, 0.814)
Ba (0.952, 0.459, 0.242)
Ba (0.048, 0.290, 0.508)
Ba (0.158, 0.493, 0.000)
Ba (0.842, 0.842, 0.335)
Ba (0.000, 0.000, 0.000)
Ba (0.218, 0.710, 0.758)
Ba (0.290, 0.048, 0.508)
Ba (0.459, 0.952, 0.242)
Ba (0.710, 0.218, 0.758)
Ba (0.493, 0.158, 0.000)
Ba (0.782, 0.541, 0.492)
Ba (0.541, 0.782, 0.492)
Ba (0.507, 0.507, 0.665)
Si (0.250, 0.750, 0.500)
Si (0.516, 0.685, 0.000)
Si (0.685, 0.516, 0.000)
Si (0.315, 0.315, 0.831)
Si (0.484, 0.484, 0.169)
Si (0.750, 0.250, 0.500)
Sn (0.938, 0.117, 0.723)
Sn (0.785, 0.062, 0.178)
Sn (0.607, 0.883, 0.822)
Sn (0.117, 0.938, 0.723)
Sn (0.062, 0.785, 0.178)
Sn (0.393, 0.215, 0.277)
Sn (0.883, 0.607, 0.822)
Sn (0.215, 0.393, 0.277)

Which value of formation energy does entry 8 give? -3225 kJ/mol of formula units

Which value of formation energy does entry 6 give? -694 kJ/mol of formula units

Which of these has the lowest formation energy? Ba13Si6Sn8As22